(1)
Li8CuN3 | PBE | relaxed

The structure belongs to space group C2/m (No. 12); the cell edges are 9.862, 3.659 and 7.377 Å and the angles 90.00°, 98.92° and 90.00°. The inequivalent atoms are Li at (0.052, 0.000, 0.386), Li at (0.101, 0.500, 0.270), Li at (0.168, 0.500, 0.671), Li at (0.216, 0.500, 0.050), Cu at (0.000, 0.000, 0.000), N at (0.000, 0.500, 0.500) and N at (0.164, 0.000, 0.164).

The value obtained for the formation energy is -0.4473 eV/atom. The energy with MP2020 corrections comes out at -99.50 eV/cell.

=====

(2)
LiCu3N3 | PBE | relaxed

The structure belongs to space group Pm-3m (No. 221); the cell edges are 4.035, 4.035 and 4.035 Å and the angles 90.00°, 90.00° and 90.00°. The inequivalent atoms are Li at (0.000, 0.000, 0.000), Cu at (0.000, 0.500, 0.500) and N at (0.000, 0.000, 0.500).

The value obtained for the formation energy is 0.5206 eV/atom. The energy with MP2020 corrections comes out at -35.57 eV/cell.

=====

(3)
SrLiCuN | PBE | relaxed

The structure belongs to space group I4_1/amd (No. 141, origin choice 2); the cell edges are 6.214, 6.214 and 26.347 Å and the angles 90.00°, 90.00° and 90.00°. The inequivalent atoms are Sr at (0.000, 0.027, 0.263), Li at (0.000, 0.007, 0.363), Cu at (0.000, 0.008, 0.154) and N at (0.000, 0.013, 0.564).

The value obtained for the formation energy is 0.1441 eV/atom. The energy with MP2020 corrections comes out at -247.32 eV/cell.

=====

| no. | energy (eV per cell) |
| --- | --- |
| 1 | -97.330 |
| 2 | -34.489 |
| 3 | -241.546 |